This record from the Materials Project database describes a relaxed structure of AgRhF6. The functional is GGA-PBE.

Cell lengths 5.237, 5.259, 10.410 Å; angles 75.71, 75.78, 60.20 degrees
Positions (direct):
Ag 0.500 0.500 0.500
Ag 0.000 0.000 0.000
Rh 0.727 0.766 0.750
Rh 0.273 0.234 0.250
F 0.463 0.803 0.636
F 0.537 0.197 0.364
F 0.767 0.102 0.639
F 0.233 0.898 0.361
F 0.692 0.429 0.863
F 0.308 0.571 0.137
F 0.991 0.728 0.863
F 0.009 0.272 0.137
F 0.610 0.970 0.138
F 0.390 0.030 0.862
F 0.936 0.491 0.364
F 0.064 0.509 0.636

- symmetry = P-1, No. 2
- ΔE_f (eV per atom) = -1.707
- total DFT energy (no corrections) (eV per atom) = -4.071

---

This record from the Materials Project database describes a relaxed structure of AgRuF7. The functional is GGA-PBE.

Cell lengths 5.667, 8.616, 12.744 Å; angles 68.61, 90.00, 90.00 degrees
Positions (direct):
Ag 0.290 0.860 0.710
Ag 0.790 0.140 0.790
Ag 0.710 0.140 0.290
Ag 0.210 0.860 0.210
Ru 0.209 0.289 0.436
Ru 0.709 0.711 0.064
Ru 0.791 0.711 0.564
Ru 0.291 0.289 0.936
F 0.581 0.981 0.740
F 0.081 0.019 0.760
F 0.419 0.019 0.260
F 0.919 0.981 0.240
F 0.383 0.314 0.553
F 0.883 0.686 0.947
F 0.617 0.686 0.447
F 0.117 0.314 0.053
F 0.463 0.262 0.811
F 0.963 0.738 0.689
F 0.537 0.738 0.189
F 0.037 0.262 0.311
F 0.001 0.303 0.850
F 0.501 0.697 0.650
F 0.999 0.697 0.150
F 0.499 0.303 0.350
F 0.249 0.054 0.001
F 0.749 0.946 0.499
F 0.751 0.946 0.999
F 0.251 0.054 0.501
F 0.325 0.521 0.865
F 0.825 0.479 0.635
F 0.675 0.479 0.135
F 0.175 0.521 0.365
F 0.574 0.272 0.014
F 0.074 0.728 0.486
F 0.426 0.728 0.986
F 0.926 0.272 0.514

- symmetry = P2_1/c, No. 14
- ΔE_f (eV per atom) = -1.863
- total DFT energy (no corrections) (eV per atom) = -4.338

---

This record from the Materials Project database describes a relaxed structure of AgSbS16F6. The functional is GGA-PBE.

Cell lengths 10.112, 10.112, 16.378 Å; angles 79.53, 79.53, 48.18 degrees
Positions (direct):
Ag 0.167 0.833 0.750
Ag 0.833 0.167 0.250
Sb 0.500 0.500 0.000
Sb 0.500 0.500 0.500
S 0.087 0.276 0.583
S 0.990 0.715 0.937
S 0.299 0.899 0.171
S 0.959 0.360 0.333
S 0.101 0.701 0.329
S 0.098 0.066 0.849
S 0.524 0.216 0.258
S 0.902 0.934 0.151
S 0.216 0.524 0.758
S 0.784 0.476 0.242
S 0.899 0.299 0.671
S 0.701 0.101 0.829
S 0.066 0.098 0.349
S 0.913 0.724 0.417
S 0.010 0.285 0.063
S 0.041 0.640 0.667
S 0.715 0.990 0.437
S 0.640 0.041 0.167
S 0.682 0.066 0.714
S 0.934 0.902 0.651
S 0.066 0.682 0.214
S 0.318 0.934 0.286
S 0.285 0.010 0.563
S 0.499 0.899 0.628
S 0.899 0.499 0.128
S 0.724 0.913 0.917
S 0.476 0.784 0.742
S 0.101 0.501 0.872
S 0.501 0.101 0.372
S 0.934 0.318 0.786
S 0.360 0.959 0.833
S 0.276 0.087 0.083
F 0.258 0.706 0.478
F 0.568 0.641 0.465
F 0.742 0.294 0.522
F 0.563 0.451 0.113
F 0.359 0.432 0.035
F 0.451 0.563 0.613
F 0.437 0.549 0.887
F 0.641 0.568 0.965
F 0.706 0.258 0.978
F 0.549 0.437 0.387
F 0.294 0.742 0.022
F 0.432 0.359 0.535

- symmetry = C2/c, No. 15
- ΔE_f (eV per atom) = -1.141
- total DFT energy (no corrections) (eV per atom) = -4.217

---

This record from the Materials Project database describes a relaxed structure of SrAgSF. The functional is GGA-PBE.

Cell lengths 4.109, 4.109, 9.130 Å; angles 90.00, 90.00, 90.00 degrees
Positions (direct):
Sr 0.000 0.500 0.844
Sr 0.500 0.000 0.156
Ag 0.500 0.500 0.500
Ag 0.000 0.000 0.500
S 0.000 0.500 0.308
S 0.500 0.000 0.692
F 0.500 0.500 0.000
F 0.000 0.000 0.000

- symmetry = P4/nmm, No. 129
- ΔE_f (eV per atom) = -2.263
- total DFT energy (no corrections) (eV per atom) = -4.665

---

This record from the Materials Project database describes a relaxed structure of Ag3Sb4F24. The functional is GGA-PBE.

Cell lengths 10.987, 10.987, 10.987 Å; angles 109.47, 109.47, 109.47 degrees
Positions (direct):
Ag 0.125 0.750 0.875
Ag 0.375 0.250 0.625
Ag 0.750 0.875 0.125
Ag 0.250 0.625 0.375
Ag 0.875 0.125 0.750
Ag 0.625 0.375 0.250
Sb 0.500 0.000 0.377
Sb 0.377 0.500 0.000
Sb 0.123 0.123 0.123
Sb 0.000 0.377 0.500
Sb 0.877 0.500 0.000
Sb 0.500 0.000 0.877
Sb 0.623 0.623 0.623
Sb 0.000 0.877 0.500
F 0.670 0.112 0.577
F 0.465 0.388 0.057
F 0.035 0.093 0.923
F 0.830 0.407 0.443
F 0.077 0.612 0.170
F 0.557 0.888 0.965
F 0.423 0.593 0.535
F 0.943 0.907 0.330
F 0.112 0.577 0.670
F 0.388 0.057 0.465
F 0.093 0.923 0.035
F 0.407 0.443 0.830
F 0.612 0.170 0.077
F 0.888 0.965 0.557
F 0.593 0.535 0.423
F 0.907 0.330 0.943
F 0.577 0.670 0.112
F 0.057 0.465 0.388
F 0.923 0.035 0.093
F 0.443 0.830 0.407
F 0.170 0.077 0.612
F 0.965 0.557 0.888
F 0.535 0.423 0.593
F 0.330 0.943 0.907
F 0.329 0.882 0.183
F 0.301 0.618 0.947
F 0.199 0.146 0.317
F 0.171 0.354 0.553
F 0.683 0.382 0.829
F 0.447 0.118 0.801
F 0.817 0.646 0.699
F 0.053 0.854 0.671
F 0.882 0.183 0.329
F 0.618 0.947 0.301
F 0.146 0.317 0.199
F 0.354 0.553 0.171
F 0.382 0.829 0.683
F 0.118 0.801 0.447
F 0.646 0.699 0.817
F 0.854 0.671 0.053
F 0.183 0.329 0.882
F 0.947 0.301 0.618
F 0.317 0.199 0.146
F 0.553 0.171 0.354
F 0.829 0.683 0.382
F 0.801 0.447 0.118
F 0.699 0.817 0.646
F 0.671 0.053 0.854

- symmetry = I-43d, No. 220
- ΔE_f (eV per atom) = -2.393
- total DFT energy (no corrections) (eV per atom) = -4.325

---

This record from the Materials Project database describes a relaxed structure of AgSbSe2F6. The functional is GGA-PBE.

Cell lengths 12.546, 12.546, 10.956 Å; angles 64.30, 64.30, 52.57 degrees
Positions (direct):
Ag 0.518 0.482 0.250
Ag 0.482 0.518 0.750
Ag 0.811 0.854 0.655
Ag 0.146 0.189 0.845
Ag 0.189 0.146 0.345
Ag 0.854 0.811 0.155
Sb 0.000 0.500 0.000
Sb 0.500 0.000 0.500
Sb 0.019 0.981 0.750
Sb 0.981 0.019 0.250
Sb 0.000 0.500 0.500
Sb 0.500 0.000 0.000
Se 0.713 0.378 0.896
Se 0.622 0.287 0.604
Se 0.287 0.622 0.104
Se 0.378 0.713 0.396
Se 0.627 0.579 0.962
Se 0.421 0.373 0.538
Se 0.373 0.421 0.038
Se 0.579 0.627 0.462
Se 0.408 0.720 0.906
Se 0.280 0.592 0.594
Se 0.592 0.280 0.094
Se 0.720 0.408 0.406
F 0.912 0.638 0.849
F 0.362 0.088 0.651
F 0.088 0.362 0.151
F 0.638 0.912 0.349
F 0.047 0.620 0.003
F 0.380 0.953 0.497
F 0.953 0.380 0.997
F 0.620 0.047 0.503
F 0.828 0.583 0.131
F 0.417 0.172 0.369
F 0.172 0.417 0.869
F 0.583 0.828 0.631
F 0.936 0.898 0.740
F 0.102 0.064 0.760
F 0.064 0.102 0.260
F 0.898 0.936 0.240
F 0.846 0.154 0.750
F 0.154 0.846 0.250
F 0.192 0.808 0.750
F 0.808 0.192 0.250
F 0.966 0.929 0.951
F 0.071 0.034 0.549
F 0.034 0.071 0.049
F 0.929 0.966 0.451
F 0.929 0.678 0.523
F 0.322 0.071 0.977
F 0.071 0.322 0.477
F 0.678 0.929 0.023
F 0.824 0.516 0.598
F 0.484 0.176 0.902
F 0.176 0.484 0.402
F 0.516 0.824 0.098
F 0.944 0.590 0.326
F 0.410 0.056 0.174
F 0.056 0.410 0.674
F 0.590 0.944 0.826

- symmetry = C2/c, No. 15
- ΔE_f (eV per atom) = -1.917
- total DFT energy (no corrections) (eV per atom) = -4.184

---

This record from the Materials Project database describes a relaxed structure of UAgF6. The functional is GGA-PBE.

Cell lengths 5.408, 5.408, 9.219 Å; angles 90.00, 90.00, 90.00 degrees
Positions (direct):
U 0.000 0.000 0.000
U 0.000 0.000 0.500
Ag 0.500 0.500 0.250
Ag 0.500 0.500 0.750
F 0.274 0.274 0.000
F 0.726 0.726 0.000
F 0.726 0.274 0.500
F 0.274 0.726 0.500
F 0.202 0.202 0.347
F 0.798 0.798 0.653
F 0.798 0.798 0.347
F 0.798 0.202 0.847
F 0.798 0.202 0.153
F 0.202 0.202 0.653
F 0.202 0.798 0.153
F 0.202 0.798 0.847

- symmetry = P4_2/mcm, No. 132
- ΔE_f (eV per atom) = -3.262
- total DFT energy (no corrections) (eV per atom) = -6.117

---

This record from the Materials Project database describes a relaxed structure of ZnAgF5. The functional is GGA-PBE.

Cell lengths 10.135, 5.353, 7.971 Å; angles 69.05, 90.00, 90.00 degrees
Positions (direct):
Zn 0.003 0.515 0.752
Zn 0.503 0.485 0.748
Zn 0.997 0.485 0.248
Zn 0.497 0.515 0.252
Ag 0.754 0.104 0.601
Ag 0.254 0.896 0.899
Ag 0.246 0.896 0.399
Ag 0.746 0.104 0.101
F 0.895 0.406 0.573
F 0.395 0.594 0.927
F 0.105 0.594 0.427
F 0.605 0.406 0.073
F 0.602 0.369 0.490
F 0.102 0.631 0.010
F 0.398 0.631 0.510
F 0.898 0.369 0.990
F 0.413 0.152 0.803
F 0.913 0.848 0.697
F 0.587 0.848 0.197
F 0.087 0.152 0.303
F 0.123 0.226 0.842
F 0.623 0.774 0.658
F 0.877 0.774 0.158
F 0.377 0.226 0.342
F 0.684 0.152 0.839
F 0.184 0.848 0.661
F 0.316 0.848 0.161
F 0.816 0.152 0.339

- symmetry = P2_1/c, No. 14
- ΔE_f (eV per atom) = -1.776
- total DFT energy (no corrections) (eV per atom) = -3.398
- energy relative to the lowest polymorph listed for this composition (meV per atom) = 40

---

This record from the Materials Project database describes a relaxed structure of ZnAgF3. The functional is GGA-PBE.

Cell lengths 6.379, 6.379, 6.379 Å; angles 51.46, 51.46, 51.46 degrees
Positions (direct):
Zn 0.659 0.659 0.659
Zn 0.341 0.341 0.341
Ag 0.858 0.858 0.858
Ag 0.142 0.142 0.142
F 0.691 0.059 0.459
F 0.459 0.691 0.059
F 0.059 0.459 0.691
F 0.309 0.941 0.541
F 0.941 0.541 0.309
F 0.541 0.309 0.941

- symmetry = R-3, No. 148
- ΔE_f (eV per atom) = -2.036
- total DFT energy (no corrections) (eV per atom) = -3.726

---

This record from the Materials Project database describes a relaxed structure of ZnAgF3. The functional is GGA-PBE.

Cell lengths 4.073, 4.073, 4.073 Å; angles 90.00, 90.00, 90.00 degrees
Positions (direct):
Zn 0.500 0.500 0.500
Ag 0.000 0.000 0.000
F 0.000 0.500 0.500
F 0.500 0.000 0.500
F 0.500 0.500 0.000

- symmetry = Pm-3m, No. 221
- ΔE_f (eV per atom) = -2.000
- total DFT energy (no corrections) (eV per atom) = -3.690

---

This record from the Materials Project database describes a relaxed structure of ZnAgF5. The functional is GGA-PBE.

Cell lengths 5.536, 5.505, 8.001 Å; angles 99.19, 105.97, 110.35 degrees
Positions (direct):
Zn 0.263 0.517 0.746
Zn 0.740 0.488 0.253
Ag 0.002 0.004 0.999
Ag 0.501 0.000 0.500
F 0.434 0.183 0.250
F 0.571 0.822 0.749
F 0.593 0.729 0.368
F 0.862 0.226 0.133
F 0.771 0.677 0.065
F 0.113 0.701 0.440
F 0.236 0.331 0.935
F 0.889 0.301 0.561
F 0.142 0.781 0.866
F 0.407 0.275 0.631

- symmetry = P1, No. 1
- ΔE_f (eV per atom) = -1.816
- total DFT energy (no corrections) (eV per atom) = -3.438
- energy relative to the lowest polymorph listed for this composition (meV per atom) = 0

---

This record from the Materials Project database describes a relaxed structure of Zr2ZnAg2F14. The functional is GGA-PBE.

Cell lengths 5.610, 5.610, 9.431 Å; angles 89.25, 89.25, 73.56 degrees
Positions (direct):
Zr 0.884 0.884 0.198
Zr 0.116 0.116 0.802
Zn 0.500 0.500 0.000
Ag 0.307 0.307 0.384
Ag 0.693 0.693 0.616
F 0.000 0.000 0.000
F 0.592 0.180 0.124
F 0.180 0.592 0.124
F 0.665 0.665 0.145
F 0.095 0.095 0.277
F 0.640 0.004 0.375
F 0.004 0.640 0.375
F 0.500 0.500 0.500
F 0.996 0.360 0.625
F 0.360 0.996 0.625
F 0.905 0.905 0.723
F 0.335 0.335 0.855
F 0.820 0.408 0.876
F 0.408 0.820 0.876

- symmetry = C2/m, No. 12
- ΔE_f (eV per atom) = -2.977
- total DFT energy (no corrections) (eV per atom) = -5.311